# Tl2S, optimized geometry, DFT meta-GGA r2SCAN
# Total moment: 0.000 Bohr magnetons per cell
# Energy: -115.66 eV/f.u.
# ΔE_f: -1.272 eV/f.u.
data_Tl2S
_symmetry_space_group_name_H-M 'R 3'
_symmetry_Int_Tables_number 146
_symmetry_space_group_name_Hall 'R 3'
_cell_length_a 12.3591
_cell_length_b 12.3591
_cell_length_c 18.6985
_cell_angle_alpha 90.00
_cell_angle_beta 90.00
_cell_angle_gamma 120.00
loop_
_atom_site_label
_atom_site_type_symbol
_atom_site_fract_x
_atom_site_fract_y
_atom_site_fract_z
Tl1 Tl 0.0819 0.8740 0.0171
Tl2 Tl 0.0961 0.5637 0.0009
Tl3 Tl 0.0961 0.5669 0.3333
Tl4 Tl 0.1993 0.4294 0.8612
Tl5 Tl 0.2079 0.0828 0.8448
Tl6 Tl 0.2076 0.0852 0.5115
S1 S 0.0000 0.0000 0.1223
S2 S 0.0000 0.0000 0.4066
S3 S 0.0000 0.0000 0.7397
S4 S 0.0014 0.6624 0.1191
S5 S 0.0016 0.3294 0.0765